Nb9AsO25 | meta-GGA r2SCAN | optimized geometry

Cell and atoms, written as extended XYZ:
```
35
Lattice="11.218 -1.932 0.000 11.218 1.932 0.000 -11.218 0.000 11.218" Properties=species:S:1:pos:R:3 pbc="T T T"
Nb 0.000 0.000 0.000
Nb -1.248 -0.151 3.654
Nb -6.257 -0.125 8.841
Nb 3.654 -0.163 1.247
Nb 2.377 -0.186 4.960
Nb 8.841 -0.186 6.258
Nb 7.564 -0.163 9.971
Nb 17.475 -0.125 2.378
Nb 12.466 -0.151 7.564
As 5.609 0.812 5.609
O 7.941 1.804 3.035
O 3.277 1.804 8.183
O -0.734 -0.146 1.877
O -5.341 -0.208 7.009
O 1.878 -0.140 0.733
O -2.202 -0.141 5.727
O -6.802 -0.199 10.736
O 0.481 -0.113 4.416
O -4.086 -0.171 9.661
O 3.035 -0.183 3.277
O 5.726 -0.169 2.202
O 1.558 -0.141 7.133
O 4.209 -0.101 5.876
O 11.218 -0.107 0.000
O 7.010 -0.101 5.342
O 9.660 -0.141 4.085
O 5.492 -0.169 9.016
O 8.183 -0.183 7.942
O 15.304 -0.171 1.557
O 10.737 -0.113 6.802
O 18.020 -0.199 0.482
O 13.420 -0.141 5.491
O 9.340 -0.140 10.485
O 16.559 -0.208 4.209
O 11.952 -0.146 9.341
```

Calculated values
Crystal system   monoclinic
Calculated formation energy   -2.61 eV per atom
DFT total energy   -13.654 eV/atom